A plane-wave DFT calculation with PBE was carried out for an optimized crystal structure of La2ZnBiO6.

Its crystal system is trigonal. The space-group type is R-3 (148). The value obtained for the total energy is -6.693 eV per atom. Its energy with MP2020 corrections is -7.11 eV per atom. The calculation puts the calculated formation energy at -26.34 eV/f.u.

Unit cell a=5.857 b=5.857 c=5.857 alpha=61.22 beta=61.22 gamma=61.22
Atoms (fractional coordinates):
1 La 0.750 0.750 0.750
2 La 0.250 0.250 0.250
3 Zn 0.500 0.500 0.500
4 Bi 0.000 0.000 0.000
5 O 0.744 0.364 0.152
6 O 0.152 0.744 0.364
7 O 0.364 0.152 0.744
8 O 0.256 0.636 0.848
9 O 0.636 0.848 0.256
10 O 0.848 0.256 0.636



A plane-wave DFT calculation with PBE was carried out for an optimized crystal structure of La4Bi2S9.

Its crystal system is orthorhombic. The space-group type is Pnma (62). The value obtained for the total energy is -5.882 eV per atom. Its energy with MP2020 corrections is -6.18 eV per atom. The calculation puts the calculated formation energy at -28.00 eV/f.u.

Unit cell a=4.046 b=12.993 c=28.589 alpha=90.00 beta=90.00 gamma=90.00
Atoms (fractional coordinates):
1 La 0.250 0.077 0.806
2 La 0.750 0.923 0.194
3 La 0.750 0.577 0.694
4 La 0.250 0.423 0.306
5 La 0.250 0.743 0.053
6 La 0.750 0.257 0.947
7 La 0.750 0.243 0.447
8 La 0.250 0.757 0.553
9 La 0.250 0.740 0.821
10 La 0.750 0.260 0.179
11 La 0.750 0.240 0.679
12 La 0.250 0.760 0.321
13 La 0.250 0.896 0.687
14 La 0.750 0.104 0.313
15 La 0.750 0.396 0.813
16 La 0.250 0.604 0.187
17 Bi 0.250 0.559 0.935
18 Bi 0.750 0.441 0.065
19 Bi 0.750 0.059 0.565
20 Bi 0.250 0.941 0.435
21 Bi 0.250 0.427 0.560
22 Bi 0.750 0.573 0.440
23 Bi 0.750 0.927 0.940
24 Bi 0.250 0.073 0.060
25 S 0.250 0.687 0.648
26 S 0.750 0.313 0.352
27 S 0.750 0.187 0.852
28 S 0.250 0.813 0.148
29 S 0.250 0.273 0.754
30 S 0.750 0.727 0.246
31 S 0.750 0.773 0.746
32 S 0.250 0.227 0.254
33 S 0.250 0.410 0.656
34 S 0.750 0.590 0.344
35 S 0.750 0.910 0.844
36 S 0.250 0.090 0.156
37 S 0.250 0.376 0.887
38 S 0.750 0.624 0.113
39 S 0.250 0.096 0.957
40 S 0.750 0.876 0.613
41 S 0.250 0.539 0.769
42 S 0.750 0.461 0.231
43 S 0.750 0.039 0.731
44 S 0.250 0.961 0.269
45 S 0.250 0.711 0.442
46 S 0.750 0.289 0.558
47 S 0.750 0.211 0.058
48 S 0.250 0.789 0.942
49 S 0.250 0.112 0.497
50 S 0.750 0.888 0.503
51 S 0.750 0.612 0.003
52 S 0.250 0.388 0.997
53 S 0.250 0.395 0.134
54 S 0.750 0.605 0.866
55 S 0.750 0.895 0.366
56 S 0.250 0.105 0.634
57 S 0.250 0.404 0.457
58 S 0.750 0.596 0.543
59 S 0.750 0.904 0.043
60 S 0.250 0.124 0.387



A plane-wave DFT calculation with PBE was carried out for an optimized crystal structure of La8Bi3Sb3.

Its crystal system is monoclinic. The space-group type is C2 (5). The value obtained for the total energy is -5.572 eV per atom. Its energy with MP2020 corrections is -5.61 eV per atom. The calculation puts the calculated formation energy at -15.04 eV/f.u.

Unit cell a=8.463 b=8.463 c=9.768 alpha=54.80 beta=54.80 gamma=70.54
Atoms (fractional coordinates):
1 La 0.350 0.997 0.259
2 La 0.142 0.499 0.112
3 La 0.501 0.858 0.888
4 La 0.003 0.650 0.741
5 La 0.645 0.504 0.603
6 La 0.856 0.995 0.259
7 La 0.496 0.355 0.397
8 La 0.005 0.144 0.741
9 Bi 0.248 0.250 0.877
10 Bi 0.750 0.752 0.123
11 Bi 0.627 0.373 0.000
12 Sb 0.873 0.127 0.500
13 Sb 0.127 0.625 0.374
14 Sb 0.375 0.873 0.626



A plane-wave DFT calculation with PBE was carried out for an optimized crystal structure of La3ScBi5.

Its crystal system is hexagonal. The space-group type is P6_3/mcm (193). The value obtained for the total energy is -5.399 eV per atom. The calculation puts the calculated formation energy at -8.00 eV/f.u.

Unit cell a=9.866 b=9.866 c=6.617 alpha=90.00 beta=90.00 gamma=120.00
Atoms (fractional coordinates):
1 La 0.000 0.619 0.250
2 La 0.381 0.381 0.250
3 La 0.381 0.000 0.750
4 La 0.619 0.619 0.750
5 La 0.619 0.000 0.250
6 La 0.000 0.381 0.750
7 Sc 0.000 0.000 0.000
8 Sc 0.000 0.000 0.500
9 Bi 0.000 0.260 0.250
10 Bi 0.333 0.667 0.500
11 Bi 0.667 0.333 0.000
12 Bi 0.333 0.667 0.000
13 Bi 0.260 0.260 0.750
14 Bi 0.740 0.000 0.750
15 Bi 0.000 0.740 0.750
16 Bi 0.740 0.740 0.250
17 Bi 0.260 0.000 0.250
18 Bi 0.667 0.333 0.500



A plane-wave DFT calculation with PBE was carried out for an optimized crystal structure of La4SnBi2.

Its crystal system is tetragonal. The space-group type is I-42d (122). The value obtained for the total energy is -5.379 eV per atom. The calculation puts the calculated formation energy at -6.12 eV/f.u.

Unit cell a=8.535 b=8.535 c=8.535 alpha=109.60 beta=109.60 gamma=109.21
Atoms (fractional coordinates):
1 La 0.980 0.371 0.250
2 La 0.121 0.730 0.750
3 La 0.629 0.879 0.109
4 La 0.770 0.520 0.891
5 La 0.121 0.230 0.750
6 La 0.480 0.371 0.250
7 La 0.629 0.879 0.609
8 La 0.270 0.020 0.391
9 Sn 0.750 0.250 0.500
10 Sn 0.000 0.000 0.000
11 Bi 0.375 0.501 0.626
12 Bi 0.875 0.749 0.374
13 Bi 0.499 0.125 0.874
14 Bi 0.251 0.625 0.126



A plane-wave DFT calculation with PBE was carried out for an optimized crystal structure of Li3Bi.

Its crystal system is cubic. The space-group type is Fm-3m (225). The value obtained for the total energy is -2.934 eV per atom. The calculation puts the calculated formation energy at -2.12 eV/f.u.

Unit cell a=4.764 b=4.764 c=4.764 alpha=60.00 beta=60.00 gamma=60.00
Atoms (fractional coordinates):
1 Li 0.750 0.750 0.750
2 Li 0.500 0.500 0.500
3 Li 0.250 0.250 0.250
4 Bi 0.000 0.000 0.000



A plane-wave DFT calculation with PBE was carried out for an optimized crystal structure of Li3Bi.

Its crystal system is hexagonal. The space-group type is P6_3/mmc (194). The value obtained for the total energy is -2.923 eV per atom. The calculation puts the calculated formation energy at -2.07 eV/f.u.

Unit cell a=4.806 b=4.806 c=8.535 alpha=90.00 beta=90.00 gamma=120.00
Atoms (fractional coordinates):
1 Li 0.333 0.667 0.912
2 Li 0.667 0.333 0.412
3 Li 0.000 0.000 0.250
4 Li 0.000 0.000 0.750
5 Li 0.333 0.667 0.588
6 Li 0.667 0.333 0.088
7 Bi 0.667 0.333 0.750
8 Bi 0.333 0.667 0.250



A plane-wave DFT calculation with PBE was carried out for an optimized crystal structure of LiMg14Bi.

Its crystal system is hexagonal. The space-group type is P-6m2 (187). The value obtained for the total energy is -1.778 eV per atom. The value obtained for the energy relative to the lowest polymorph listed for this composition is 22 meV per atom. The calculation puts the calculated formation energy at -0.25 eV/f.u.

Unit cell a=6.404 b=6.404 c=10.452 alpha=90.00 beta=90.00 gamma=120.00
Atoms (fractional coordinates):
1 Li 0.167 0.333 0.125
2 Mg 0.168 0.834 0.125
3 Mg 0.164 0.832 0.625
4 Mg 0.666 0.332 0.125
5 Mg 0.668 0.336 0.625
6 Mg 0.666 0.834 0.125
7 Mg 0.668 0.832 0.625
8 Mg 0.335 0.165 0.370
9 Mg 0.335 0.165 0.880
10 Mg 0.335 0.671 0.370
11 Mg 0.335 0.671 0.880
12 Mg 0.829 0.165 0.370
13 Mg 0.829 0.165 0.880
14 Mg 0.833 0.667 0.374
15 Mg 0.833 0.667 0.876
16 Bi 0.167 0.333 0.625



A plane-wave DFT calculation with PBE was carried out for an optimized crystal structure of LiMg6Bi.

The value obtained for the total energy is -1.994 eV per atom. The calculation puts the calculated formation energy at -0.55 eV/f.u.

Unit cell a=5.281 b=6.286 c=11.269 alpha=90.00 beta=90.00 gamma=90.00
Atoms (fractional coordinates):
1 Li 0.500 0.000 0.167
2 Li 0.500 0.500 0.667
3 Mg 0.500 0.249 0.416
4 Mg 0.500 0.751 0.416
5 Mg 0.000 0.757 0.082
6 Mg 0.000 0.243 0.082
7 Mg 0.000 0.000 0.332
8 Mg 0.000 0.500 0.338
9 Mg 0.500 0.749 0.916
10 Mg 0.500 0.251 0.916
11 Mg 0.000 0.257 0.582
12 Mg 0.000 0.743 0.582
13 Mg 0.000 0.500 0.832
14 Mg 0.000 0.000 0.838
15 Bi 0.500 0.500 0.167
16 Bi 0.500 0.000 0.667



A plane-wave DFT calculation with PBE was carried out for an optimized crystal structure of LiMg14Bi.

Its crystal system is orthorhombic. The space-group type is Amm2 (38). The value obtained for the total energy is -1.801 eV per atom. The value obtained for the energy relative to the lowest polymorph listed for this composition is 0 meV per atom. The calculation puts the calculated formation energy at -0.61 eV/f.u.

Unit cell a=6.423 b=6.322 c=10.496 alpha=90.00 beta=90.00 gamma=119.48
Atoms (fractional coordinates):
1 Li 0.166 0.333 0.125
2 Mg 0.167 0.334 0.625
3 Mg 0.166 0.833 0.625
4 Mg 0.668 0.333 0.125
5 Mg 0.666 0.334 0.625
6 Mg 0.668 0.835 0.125
7 Mg 0.666 0.832 0.625
8 Mg 0.335 0.171 0.379
9 Mg 0.335 0.171 0.871
10 Mg 0.335 0.664 0.379
11 Mg 0.335 0.664 0.871
12 Mg 0.833 0.167 0.377
13 Mg 0.833 0.167 0.873
14 Mg 0.828 0.664 0.379
15 Mg 0.828 0.664 0.871
16 Bi 0.168 0.834 0.125



A plane-wave DFT calculation with PBE was carried out for an optimized crystal structure of LiMg6Bi.

The value obtained for the total energy is -1.994 eV per atom. The calculation puts the calculated formation energy at -0.55 eV/f.u.

Unit cell a=5.118 b=6.490 c=11.176 alpha=90.00 beta=90.00 gamma=90.00
Atoms (fractional coordinates):
1 Li 0.000 0.000 0.836
2 Li 0.000 0.500 0.336
3 Mg 0.000 0.741 0.579
4 Mg 0.000 0.259 0.579
5 Mg 0.000 0.000 0.335
6 Mg 0.500 0.749 0.416
7 Mg 0.500 0.251 0.416
8 Mg 0.500 0.000 0.167
9 Mg 0.000 0.241 0.079
10 Mg 0.000 0.759 0.079
11 Mg 0.000 0.500 0.835
12 Mg 0.500 0.249 0.916
13 Mg 0.500 0.751 0.916
14 Mg 0.500 0.500 0.667
15 Bi 0.500 0.000 0.672
16 Bi 0.500 0.500 0.172



A plane-wave DFT calculation with PBE was carried out for an optimized crystal structure of LiMg6BiO8.

Its crystal system is tetragonal. The space-group type is P4/mmm (123). The value obtained for the total energy is -5.676 eV per atom. Its energy with MP2020 corrections is -6.02 eV per atom. The value obtained for the energy relative to the lowest polymorph listed for this composition is 45 meV per atom. The calculation puts the calculated formation energy at -41.32 eV/f.u.

Unit cell a=8.867 b=4.444 c=4.444 alpha=90.00 beta=90.00 gamma=90.00
Atoms (fractional coordinates):
1 Li 0.000 0.000 0.000
2 Mg 0.000 0.500 0.500
3 Mg 0.500 0.500 0.500
4 Mg 0.224 0.000 0.500
5 Mg 0.776 0.000 0.500
6 Mg 0.224 0.500 0.000
7 Mg 0.776 0.500 0.000
8 Bi 0.500 0.000 0.000
9 O 0.237 0.000 0.000
10 O 0.763 0.000 0.000
11 O 0.254 0.500 0.500
12 O 0.746 0.500 0.500
13 O 0.000 0.000 0.500
14 O 0.500 0.000 0.500
15 O 0.000 0.500 0.000
16 O 0.500 0.500 0.000



A plane-wave DFT calculation with PBE was carried out for an optimized crystal structure of LiMg6BiO8.

Its crystal system is tetragonal. The space-group type is P4/mmm (123). The value obtained for the total energy is -5.720 eV per atom. Its energy with MP2020 corrections is -6.06 eV per atom. The value obtained for the energy relative to the lowest polymorph listed for this composition is 0 meV per atom. The calculation puts the calculated formation energy at -42.03 eV/f.u.

Unit cell a=8.846 b=4.430 c=4.430 alpha=90.00 beta=90.00 gamma=90.00
Atoms (fractional coordinates):
1 Li 0.000 0.000 0.000
2 Mg 0.500 0.000 0.000
3 Mg 0.500 0.500 0.500
4 Mg 0.262 0.000 0.500
5 Mg 0.738 0.000 0.500
6 Mg 0.262 0.500 0.000
7 Mg 0.738 0.500 0.000
8 Bi 0.000 0.500 0.500
9 O 0.262 0.000 0.000
10 O 0.738 0.000 0.000
11 O 0.269 0.500 0.500
12 O 0.731 0.500 0.500
13 O 0.000 0.000 0.500
14 O 0.500 0.000 0.500
15 O 0.000 0.500 0.000
16 O 0.500 0.500 0.000



A plane-wave DFT calculation with PBE was carried out for an optimized crystal structure of Li3BiN2.

Its crystal system is cubic. The space-group type is Ia-3 (206). The value obtained for the total energy is -4.422 eV per atom. Its energy with MP2020 corrections is -4.54 eV per atom. The value obtained for the energy relative to the lowest polymorph listed for this composition is 0 meV per atom. The calculation puts the calculated formation energy at -0.97 eV/f.u.

Unit cell a=9.332 b=10.775 c=10.775 alpha=90.00 beta=125.26 gamma=54.74
Atoms (fractional coordinates):
1 Li 0.219 0.046 0.010
2 Li 0.781 0.764 0.490
3 Li 0.781 0.454 0.792
4 Li 0.219 0.736 0.708
5 Li 0.198 0.792 0.254
6 Li 0.802 0.708 0.056
7 Li 0.198 0.010 0.444
8 Li 0.802 0.490 0.246
9 Li 0.690 0.056 0.736
10 Li 0.690 0.254 0.454
11 Li 0.310 0.246 0.764
12 Li 0.310 0.444 0.046
13 Li 0.781 0.954 0.990
14 Li 0.219 0.236 0.510
15 Li 0.219 0.546 0.208
16 Li 0.781 0.264 0.292
17 Li 0.802 0.208 0.746
18 Li 0.198 0.292 0.944
19 Li 0.802 0.990 0.556
20 Li 0.198 0.510 0.754
21 Li 0.310 0.944 0.264
22 Li 0.310 0.746 0.546
23 Li 0.690 0.754 0.236
24 Li 0.690 0.556 0.954
25 Bi 0.262 0.000 0.762
26 Bi 0.738 0.762 0.738
27 Bi 0.738 0.500 0.500
28 Bi 0.262 0.738 0.000
29 Bi 0.738 0.000 0.238
30 Bi 0.262 0.238 0.262
31 Bi 0.262 0.500 0.500
32 Bi 0.738 0.262 0.000
33 N 0.000 0.000 0.500
34 N 0.000 0.500 0.000
35 N 0.000 0.500 0.500
36 N 0.000 0.000 0.000
37 N 0.500 0.019 0.750
38 N 0.500 0.481 0.250
39 N 0.000 0.250 0.769
40 N 0.000 0.750 0.731
41 N 0.462 0.769 0.481
42 N 0.538 0.731 0.019
43 N 0.500 0.981 0.250
44 N 0.500 0.519 0.750
45 N 0.000 0.750 0.231
46 N 0.000 0.250 0.269
47 N 0.538 0.231 0.519
48 N 0.462 0.269 0.981



A plane-wave DFT calculation with PBE was carried out for an optimized crystal structure of Li3BiN2.

Its crystal system is tetragonal. The space-group type is I4_1/amd (141). The value obtained for the total energy is -4.310 eV per atom. Its energy with MP2020 corrections is -4.43 eV per atom. The value obtained for the energy relative to the lowest polymorph listed for this composition is 112 meV per atom. The calculation puts the calculated formation energy at -0.29 eV/f.u.

Unit cell a=10.617 b=7.058 c=18.742 alpha=90.00 beta=151.96 gamma=109.41
Atoms (fractional coordinates):
1 Li 0.000 0.500 0.351
2 Li 0.000 0.000 0.899
3 Li 0.000 0.500 0.149
4 Li 0.000 0.000 0.101
5 Li 0.417 0.500 0.458
6 Li 0.583 0.500 0.042
7 Li 0.417 0.000 0.208
8 Li 0.583 0.000 0.792
9 Li 0.583 0.083 0.042
10 Li 0.417 0.917 0.458
11 Li 0.583 0.583 0.792
12 Li 0.417 0.417 0.208
13 Bi 0.000 0.500 0.629
14 Bi 0.000 0.000 0.621
15 Bi 0.000 0.500 0.871
16 Bi 0.000 0.000 0.379
17 N 0.520 0.260 0.324
18 N 0.480 0.740 0.804
19 N 0.520 0.760 0.446
20 N 0.480 0.240 0.926
21 N 0.000 0.740 0.936
22 N 0.000 0.260 0.936
23 N 0.000 0.240 0.314
24 N 0.000 0.760 0.314